# 1
# GaH18I3N7 | the Materials Project database | PBE-GGA | relaxed
# ΔE_f: -0.34 eV/atom
# total magnetization: 3.0 μB/f.u.
data_GaH18I3N7
_symmetry_space_group_name_H-M 'P n m a'
_symmetry_Int_Tables_number 62
_symmetry_space_group_name_Hall '-P 2ac 2n'
_cell_length_a 13.9179
_cell_length_b 7.8424
_cell_length_c 15.5512
_cell_angle_alpha 90.00
_cell_angle_beta 90.00
_cell_angle_gamma 90.00
loop_
_atom_site_label
_atom_site_fract_x
_atom_site_fract_y
_atom_site_fract_z
Ga1 0.2246 0.2500 0.0981
H1 0.0745 0.2500 0.9937
H2 0.0760 0.1034 0.1789
H3 0.1076 0.5192 0.0958
H4 0.1127 0.5761 0.5751
H5 0.1274 0.7500 0.7060
H6 0.1609 0.1449 0.9443
H7 0.1704 0.5239 0.1855
H8 0.1720 0.5677 0.4838
H9 0.2032 0.0583 0.5639
H10 0.2163 0.6446 0.7518
I1 0.0518 0.2500 0.3596
I2 0.1100 0.7500 0.9608
I3 0.1833 0.2500 0.7352
N1 0.1004 0.7500 0.3756
N2 0.1336 0.0569 0.1448
N3 0.1478 0.2500 0.9819
N4 0.1807 0.5627 0.5493
N5 0.2011 0.7500 0.7152

# 2
# Mg3ZnO4 | the Materials Project database | PBE-GGA | relaxed
# ΔE_f: -2.71 eV/atom
# total magnetization: 0.0 μB/f.u.
data_Mg3ZnO4
_symmetry_space_group_name_H-M 'P m -3 m'
_symmetry_Int_Tables_number 221
_symmetry_space_group_name_Hall '-P 4 2 3'
_cell_length_a 4.2801
_cell_length_b 4.2801
_cell_length_c 4.2801
_cell_angle_alpha 90.00
_cell_angle_beta 90.00
_cell_angle_gamma 90.00
loop_
_atom_site_label
_atom_site_fract_x
_atom_site_fract_y
_atom_site_fract_z
Mg1 0.0000 0.0000 0.5000
Zn1 0.5000 0.5000 0.5000
O1 0.0000 0.0000 0.0000
O2 0.0000 0.5000 0.5000

# 3
# Ca3Ga3Sn2O12 | the Materials Project database | PBE-GGA | relaxed
# ΔE_f: -2.56 eV/atom
# total magnetization: 0.9 μB/f.u.
data_Ca3Ga3Sn2O12
_symmetry_space_group_name_H-M 'I a -3 d'
_symmetry_Int_Tables_number 230
_symmetry_space_group_name_Hall '-I 4bd 2c 3'
_cell_length_a 12.7721
_cell_length_b 12.7721
_cell_length_c 12.7721
_cell_angle_alpha 90.00
_cell_angle_beta 90.00
_cell_angle_gamma 90.00
loop_
_atom_site_label
_atom_site_fract_x
_atom_site_fract_y
_atom_site_fract_z
Ca1 0.0000 0.2500 0.1250
Ga1 0.0000 0.2500 0.3750
Sn1 0.0000 0.0000 0.0000
O1 0.0295 0.0524 0.6520

# 4
# Y5Ir2 | the Materials Project database | PBE-GGA | relaxed
# ΔE_f: -0.64 eV/atom
# total magnetization: 0.0 μB/f.u.
data_Y5Ir2
_symmetry_space_group_name_H-M 'C 1 2/c 1'
_symmetry_Int_Tables_number 15
_symmetry_space_group_name_Hall '-C 2yc'
_cell_length_a 15.7794
_cell_length_b 6.5493
_cell_length_c 7.2313
_cell_angle_alpha 90.00
_cell_angle_beta 96.75
_cell_angle_gamma 90.00
loop_
_atom_site_label
_atom_site_fract_x
_atom_site_fract_y
_atom_site_fract_z
Y1 0.0000 0.0728 0.2500
Y2 0.0909 0.3792 0.9185
Y3 0.2213 0.0674 0.3189
Ir1 0.1093 0.2185 0.5732

# 5
# U3O8 | the Materials Project database | PBE-GGA | relaxed
# ΔE_f: -3.70 eV/atom
data_U3O8
_symmetry_space_group_name_H-M 'C m c m'
_symmetry_Int_Tables_number 63
_symmetry_space_group_name_Hall '-C 2c 2'
_cell_length_a 7.0837
_cell_length_b 11.5517
_cell_length_c 8.3426
_cell_angle_alpha 90.00
_cell_angle_beta 90.00
_cell_angle_gamma 90.00
loop_
_atom_site_label
_atom_site_fract_x
_atom_site_fract_y
_atom_site_fract_z
U1 0.0000 0.0111 0.2500
U2 0.0000 0.3328 0.2500
U3 0.0000 0.3495 0.7500
O1 0.0000 0.0000 0.0000
O2 0.0000 0.1669 0.7500
O3 0.0000 0.3468 0.5135
O4 0.1813 0.1875 0.2500
O5 0.1841 0.4771 0.2500

# 6
# SrAlHOF4 | the Materials Project database | PBE-GGA | relaxed
# ΔE_f: -2.81 eV/atom
# total magnetization: 1.0 μB/f.u.
data_SrAlHOF4
_symmetry_space_group_name_H-M 'P 1 21/c 1'
_symmetry_Int_Tables_number 14
_symmetry_space_group_name_Hall '-P 2ybc'
_cell_length_a 5.5869
_cell_length_b 10.5491
_cell_length_c 8.6823
_cell_angle_alpha 90.00
_cell_angle_beta 108.07
_cell_angle_gamma 90.00
loop_
_atom_site_label
_atom_site_fract_x
_atom_site_fract_y
_atom_site_fract_z
Sr1 0.1366 0.1851 0.0664
Al1 0.1768 0.5273 0.1843
H1 0.4056 0.7011 0.5708
O1 0.1220 0.5529 0.9588
F1 0.0016 0.1796 0.3167
F2 0.1056 0.0073 0.8714
F3 0.3360 0.1225 0.6918
F4 0.4655 0.6081 0.2704

Repeat the second record exactly.
# Mg3ZnO4 | the Materials Project database | PBE-GGA | relaxed
# ΔE_f: -2.71 eV/atom
# total magnetization: 0.0 μB/f.u.
data_Mg3ZnO4
_symmetry_space_group_name_H-M 'P m -3 m'
_symmetry_Int_Tables_number 221
_symmetry_space_group_name_Hall '-P 4 2 3'
_cell_length_a 4.2801
_cell_length_b 4.2801
_cell_length_c 4.2801
_cell_angle_alpha 90.00
_cell_angle_beta 90.00
_cell_angle_gamma 90.00
loop_
_atom_site_label
_atom_site_fract_x
_atom_site_fract_y
_atom_site_fract_z
Mg1 0.0000 0.0000 0.5000
Zn1 0.5000 0.5000 0.5000
O1 0.0000 0.0000 0.0000
O2 0.0000 0.5000 0.5000